Material: NbAlO4
Method: DFT, PBE
State: relaxed

abc: 6.4403 6.4403 6.5693
angles: 106.99 106.99 34.43
Element x y z (fractional)
Nb  0.1046  0.1046  0.2378
Nb  0.8954  0.8954  0.7622
Al  0.2022  0.2022  0.8244
Al  0.7978  0.7978  0.1756
O  0.0572  0.0572  0.8610
O  0.1407  0.1407  0.5279
O  0.2630  0.2630  0.1408
O  0.3563  0.3563  0.7959
O  0.6437  0.6437  0.2041
O  0.7370  0.7370  0.8592
O  0.8593  0.8593  0.4721
O  0.9428  0.9428  0.1390

Calculated values
E = -8.375 eV per atom
corrected total energy (MP2020 scheme) = -8.833 eV per atom
space-group type = C2/m